An optimized crystal structure of Ni5SbH17C15NO9, computed with GGA+U.

abc: 10.0661 11.4592 11.6458
angles: 118.32 91.68 92.24
With the nearest neighbours (Å) after each atom.
Sites, in units of the cell vectors:
Ni: 0.2901 0.6132 0.6344  3 C 1.76-1.91
Ni: 0.7099 0.3868 0.3656  3 C 1.76-1.91
Ni: 0.4169 0.6864 0.4470  2 C 1.76-1.95
Ni: 0.5831 0.3136 0.5530  2 C 1.76-1.95
Ni: 0.3192 0.3661 0.5566  3 C 1.76-1.95
Ni: 0.6808 0.6339 0.4434  3 C 1.76-1.95
Ni: 0.2651 0.4772 0.3860  3 C 1.76-1.96
Ni: 0.7349 0.5228 0.6140  3 C 1.76-1.96
Ni: 0.5082 0.5055 0.7273  2 C 1.76-1.94
Ni: 0.4918 0.4945 0.2727  2 C 1.76-1.94
Sb: 0.5424 0.6798 0.6442  1 C 2.21
Sb: 0.4576 0.3202 0.3558  1 C 2.21
H: 0.7024 0.8850 0.8282  1 C 1.10
H: 0.2976 0.1150 0.1718  1 C 1.10
H: 0.5486 0.8780 0.8955  1 C 1.10
H: 0.4514 0.1220 0.1045  1 C 1.10
H: 0.5802 0.0888 0.8822  1 C 1.10
H: 0.4198 0.9112 0.1178  1 C 1.10
H: 0.5953 0.9988 0.7111  1 C 1.10
H: 0.4047 0.0012 0.2889  1 C 1.10
H: 0.4421 0.9922 0.7790  1 C 1.10
H: 0.5579 0.0078 0.2210  1 C 1.10
H: 0.9387 0.9987 0.2169  1 C 1.09
H: 0.0613 0.0013 0.7831  1 C 1.09
H: 0.8802 0.8871 0.0513  1 C 1.09
H: 0.1198 0.1129 0.9487  1 C 1.09
H: 0.7845 0.9009 0.1847  1 C 1.09
H: 0.2155 0.0991 0.8153  1 C 1.09
H: 0.9409 0.5875 0.0746  1 C 1.09
H: 0.0591 0.4125 0.9254  1 C 1.09
H: 0.7859 0.6657 0.1031  1 C 1.09
H: 0.2141 0.3343 0.8969  1 C 1.09
H: 0.8818 0.6517 0.9693  1 C 1.09
H: 0.1182 0.3483 0.0307  1 C 1.09
H: 0.0197 0.7351 0.2940  1 C 1.09
H: 0.9803 0.2649 0.7060  1 C 1.09
H: 0.0195 0.9120 0.3548  1 C 1.09
H: 0.9805 0.0880 0.6452  1 C 1.09
H: 0.8647 0.8149 0.3235  1 C 1.09
H: 0.1353 0.1851 0.6765  1 C 1.09
H: 0.1470 0.7169 0.1164  1 C 1.09
H: 0.8530 0.2831 0.8836  1 C 1.09
H: 0.0864 0.7819 0.0118  1 C 1.09
H: 0.9136 0.2181 0.9882  1 C 1.09
H: 0.1452 0.8932 0.1776  1 C 1.09
H: 0.8548 0.1068 0.8224  1 C 1.09
C: 0.2578 0.7615 0.7748  1 O 1.17
C: 0.7422 0.2385 0.2252  1 O 1.17
C: 0.3560 0.8438 0.4961  1 O 1.17
C: 0.6440 0.1562 0.5039  1 O 1.17
C: 0.2157 0.2195 0.4722  1 O 1.17
C: 0.7843 0.7805 0.5278  1 O 1.17
C: 0.1468 0.3515 0.2801  1 O 1.17
C: 0.8532 0.6485 0.7199  1 O 1.17
C: 0.4777 0.5992 0.8938  1 O 1.16
C: 0.5223 0.4008 0.1062  1 O 1.16
C: 0.2110 0.4885 0.6805  1 O 1.19
C: 0.7890 0.5115 0.3195  1 O 1.19
C: 0.1626 0.6091 0.5077  1 O 1.18
C: 0.8374 0.3909 0.4923  1 O 1.18
C: 0.5691 0.6718 0.3267  1 O 1.20
C: 0.4309 0.3282 0.6733  1 O 1.20
C: 0.3126 0.5696 0.2865  1 O 1.20
C: 0.6874 0.4304 0.7135  1 O 1.20
C: 0.5939 0.8787 0.8113  2 H 1.10
C: 0.4061 0.1213 0.1887  2 H 1.10
C: 0.5504 0.9951 0.7941  3 H 1.10
C: 0.4496 0.0049 0.2059  3 H 1.10
C: 0.8846 0.9041 0.1520  3 H 1.09
C: 0.1154 0.0959 0.8480  3 H 1.09
C: 0.8858 0.6648 0.0686  3 H 1.09
C: 0.1142 0.3352 0.9314  3 H 1.09
C: 0.9662 0.8160 0.2932  3 H 1.09
C: 0.0338 0.1840 0.7068  3 H 1.09
C: 0.0951 0.7967 0.1116  3 H 1.09
C: 0.9049 0.2033 0.8884  3 H 1.09
N: 0.9578 0.7954 0.1564  4 C 1.49
N: 0.0422 0.2046 0.8436  4 C 1.49
O: 0.2366 0.8577 0.8701  1 C 1.17
O: 0.7634 0.1423 0.1299  1 C 1.17
O: 0.3094 0.9437 0.5188  1 C 1.17
O: 0.6906 0.0563 0.4812  1 C 1.17
O: 0.1477 0.1226 0.4117  1 C 1.17
O: 0.8523 0.8774 0.5883  1 C 1.17
O: 0.0719 0.2646 0.2093  1 C 1.17
O: 0.9281 0.7354 0.7907  1 C 1.17
O: 0.4525 0.6582 0.0029  1 C 1.16
O: 0.5475 0.3418 0.9971  1 C 1.16
O: 0.1320 0.4936 0.7565  1 C 1.19
O: 0.8680 0.5064 0.2435  1 C 1.19
O: 0.0662 0.6658 0.5095  1 C 1.18
O: 0.9338 0.3342 0.4905  1 C 1.18
O: 0.5923 0.7376 0.2742  1 C 1.20
O: 0.4077 0.2624 0.7258  1 C 1.20
O: 0.2470 0.5855 0.2078  1 C 1.20
O: 0.7530 0.4145 0.7922  1 C 1.20

Computed properties:
ΔH_f (0 K)	-0.28	eV/atom
SG	P-1, No. 2
density	2.2	g/cm³